Density functional theory data (PBE with a Hubbard U) for a relaxed structure of K2MgFe4P6O16F12.

```
data_K2MgFe4P6O16F12
_cell_length_a 7.474
_cell_length_b 7.936
_cell_length_c 10.796
_cell_angle_alpha 100.32
_cell_angle_beta 108.82
_cell_angle_gamma 90.64
_symmetry_space_group_name_H-M 'P 1'
_symmetry_Int_Tables_number 1
_symmetry_space_group_name_Hall 'P 1'
loop_
_atom_site_label
_atom_site_fract_x
_atom_site_fract_y
_atom_site_fract_z
_atom_site_occupancy
K1 0.782 0.092 0.773 1
K2 0.230 0.948 0.220 1
Mg1 0.634 0.219 0.081 1
Fe1 0.676 0.325 0.364 1
Fe2 0.336 0.674 0.658 1
Fe3 0.481 0.523 0.987 1
Fe4 0.006 0.998 0.508 1
P1 0.656 0.730 0.502 1
P2 0.335 0.278 0.496 1
P3 0.303 0.059 0.819 1
P4 0.706 0.916 0.189 1
P5 0.048 0.595 0.828 1
P6 0.970 0.393 0.153 1
O1 0.729 0.572 0.442 1
O2 0.259 0.445 0.544 1
O3 0.802 0.885 0.555 1
O4 0.199 0.119 0.461 1
O5 0.594 0.076 0.209 1
O6 0.413 0.909 0.782 1
O7 0.441 0.212 0.903 1
O8 0.581 0.758 0.112 1
O9 0.880 0.899 0.304 1
O10 0.134 0.100 0.708 1
O11 0.911 0.320 0.253 1
O12 0.106 0.657 0.723 1
O13 0.809 0.383 0.022 1
O14 0.190 0.546 0.946 1
O15 0.418 0.279 0.386 1
O16 0.561 0.711 0.605 1
F1 0.848 0.193 0.494 1
F2 0.165 0.797 0.523 1
F3 0.525 0.414 0.153 1
F4 0.485 0.571 0.813 1
F5 0.794 0.981 0.077 1
F6 0.209 0.005 0.924 1
F7 0.888 0.446 0.760 1
F8 0.069 0.578 0.208 1
F9 0.506 0.246 0.624 1
F10 0.491 0.786 0.381 1
F11 0.135 0.294 0.122 1
F12 0.927 0.735 0.880 1
```

=====

Density functional theory data (PBE with a Hubbard U) for a relaxed structure of MgVFeP4O14.

```
data_MgVFeP4O14
_cell_length_a 5.056
_cell_length_b 8.193
_cell_length_c 7.145
_cell_angle_alpha 89.75
_cell_angle_beta 106.97
_cell_angle_gamma 87.68
_symmetry_space_group_name_H-M 'P 1'
_symmetry_Int_Tables_number 1
_symmetry_space_group_name_Hall 'P 1'
loop_
_atom_site_label
_atom_site_fract_x
_atom_site_fract_y
_atom_site_fract_z
_atom_site_occupancy
Mg1 0.276 0.151 0.067 1
V1 0.211 0.517 0.719 1
Fe1 0.819 0.981 0.292 1
P1 0.373 0.198 0.502 1
P2 0.253 0.766 0.105 1
P3 0.778 0.280 0.878 1
P4 0.602 0.696 0.500 1
O1 0.068 0.321 0.858 1
O2 0.198 0.654 0.924 1
O3 0.168 0.069 0.491 1
O4 0.251 0.371 0.527 1
O5 0.369 0.683 0.598 1
O6 0.587 0.424 0.889 1
O7 0.628 0.167 0.699 1
O8 0.464 0.651 0.271 1
O9 0.405 0.920 0.075 1
O10 0.503 0.199 0.332 1
O11 0.708 0.865 0.509 1
O12 0.826 0.558 0.574 1
O13 0.856 0.165 0.059 1
O14 0.992 0.807 0.158 1
```

=====

Density functional theory data (PBE with a Hubbard U) for a relaxed structure of KMnCl3O2.

```
data_KMnCl3O2
_cell_length_a 6.476
_cell_length_b 6.772
_cell_length_c 8.996
_cell_angle_alpha 107.75
_cell_angle_beta 90.55
_cell_angle_gamma 112.20
_symmetry_space_group_name_H-M 'P 1'
_symmetry_Int_Tables_number 1
_symmetry_space_group_name_Hall 'P 1'
loop_
_atom_site_label
_atom_site_fract_x
_atom_site_fract_y
_atom_site_fract_z
_atom_site_occupancy
K1 0.935 0.635 0.789 1
K2 0.065 0.365 0.211 1
Mn1 0.623 0.969 0.683 1
Mn2 0.377 0.031 0.317 1
Cl1 0.738 0.189 0.481 1
Cl2 0.262 0.811 0.519 1
Cl3 0.486 0.745 0.832 1
Cl4 0.514 0.255 0.168 1
Cl5 0.988 0.165 0.818 1
Cl6 0.012 0.835 0.182 1
O1 0.288 0.228 0.437 1
O2 0.712 0.772 0.563 1
O3 0.567 0.192 0.797 1
O4 0.433 0.808 0.203 1
```

=====

Density functional theory data (PBE with a Hubbard U) for a relaxed structure of LiCr4P7O24.

```
data_LiCr4P7O24
_cell_length_a 10.175
_cell_length_b 10.262
_cell_length_c 10.721
_cell_angle_alpha 108.35
_cell_angle_beta 111.61
_cell_angle_gamma 105.04
_symmetry_space_group_name_H-M 'P 1'
_symmetry_Int_Tables_number 1
_symmetry_space_group_name_Hall 'P 1'
loop_
_atom_site_label
_atom_site_fract_x
_atom_site_fract_y
_atom_site_fract_z
_atom_site_occupancy
Li1 0.595 0.224 0.629 1
Li2 0.405 0.776 0.371 1
Cr1 0.501 0.900 0.747 1
Cr2 0.003 0.388 0.076 1
Cr3 0.511 0.663 0.886 1
Cr4 0.984 0.829 0.412 1
Cr5 0.016 0.171 0.588 1
Cr6 0.489 0.337 0.114 1
Cr7 0.997 0.612 0.924 1
Cr8 0.499 0.100 0.253 1
P1 0.771 0.779 0.774 1
P2 0.192 0.627 0.433 1
P3 0.196 0.938 0.259 1
P4 0.263 0.037 0.758 1
P5 0.252 0.392 0.523 1
P6 0.735 0.180 0.119 1
P7 0.748 0.541 0.053 1
P8 0.252 0.459 0.947 1
P9 0.265 0.820 0.881 1
P10 0.748 0.608 0.477 1
P11 0.737 0.963 0.242 1
P12 0.804 0.062 0.741 1
P13 0.808 0.373 0.567 1
P14 0.229 0.221 0.226 1
O1 0.867 0.211 0.877 1
O2 0.623 0.988 0.659 1
O3 0.642 0.065 0.955 1
O4 0.115 0.259 0.128 1
O5 0.369 0.734 0.532 1
O6 0.167 0.569 0.272 1
O7 0.654 0.569 0.922 1
O8 0.634 0.782 0.802 1
O9 0.375 0.009 0.701 1
O10 0.157 0.484 0.470 1
O11 0.311 0.340 0.401 1
O12 0.140 0.057 0.205 1
O13 0.144 0.929 0.371 1
O14 0.396 0.495 0.672 1
O15 0.874 0.502 0.012 1
O16 0.087 0.697 0.463 1
O17 0.872 0.320 0.161 1
O18 0.339 0.175 0.906 1
O19 0.185 0.894 0.781 1
O20 0.146 0.247 0.504 1
O21 0.120 0.026 0.627 1
O22 0.376 0.779 0.819 1
O23 0.365 0.595 0.953 1
O24 0.835 0.678 0.208 1
O25 0.165 0.322 0.792 1
O26 0.635 0.405 0.047 1
O27 0.624 0.221 0.181 1
O28 0.880 0.974 0.373 1
O29 0.854 0.753 0.496 1
O30 0.815 0.106 0.219 1
O31 0.661 0.825 0.094 1
O32 0.128 0.680 0.839 1
O33 0.913 0.303 0.537 1
O34 0.126 0.498 0.988 1
O35 0.604 0.505 0.328 1
O36 0.856 0.071 0.629 1
O37 0.860 0.943 0.795 1
O38 0.689 0.660 0.599 1
O39 0.843 0.516 0.530 1
O40 0.625 0.991 0.299 1
O41 0.366 0.218 0.198 1
O42 0.346 0.431 0.078 1
O43 0.833 0.431 0.728 1
O44 0.631 0.266 0.468 1
O45 0.885 0.741 0.872 1
O46 0.358 0.935 0.045 1
O47 0.377 0.012 0.341 1
O48 0.133 0.789 0.123 1
```

=====

Density functional theory data (PBE with a Hubbard U) for a relaxed structure of CaV6O11F.

```
data_CaV6O11F
_cell_length_a 5.155
_cell_length_b 5.088
_cell_length_c 10.092
_cell_angle_alpha 99.53
_cell_angle_beta 89.61
_cell_angle_gamma 105.25
_symmetry_space_group_name_H-M 'P 1'
_symmetry_Int_Tables_number 1
_symmetry_space_group_name_Hall 'P 1'
loop_
_atom_site_label
_atom_site_fract_x
_atom_site_fract_y
_atom_site_fract_z
_atom_site_occupancy
Ca1 0.218 0.767 0.676 1
V1 0.068 0.901 0.045 1
V2 0.039 0.062 0.332 1
V3 0.865 0.101 0.625 1
V4 0.625 0.386 0.157 1
V5 0.428 0.456 0.879 1
V6 0.690 0.555 0.447 1
O1 0.200 0.814 0.176 1
O2 0.053 0.874 0.488 1
O3 0.226 0.742 0.903 1
O4 0.318 0.247 0.029 1
O5 0.380 0.282 0.333 1
O6 0.183 0.256 0.730 1
O7 0.740 0.641 0.008 1
O8 0.733 0.718 0.289 1
O9 0.626 0.733 0.625 1
O10 0.876 0.158 0.167 1
O11 0.878 0.286 0.472 1
F1 0.660 0.217 0.790 1
```

=====

Density functional theory data (PBE with a Hubbard U) for a relaxed structure of Mn2Be3Si3O12.

```
data_Mn2Be3Si3O12
_cell_length_a 7.476
_cell_length_b 8.017
_cell_length_c 16.018
_cell_angle_alpha 60.68
_cell_angle_beta 90.00
_cell_angle_gamma 90.00
_symmetry_space_group_name_H-M 'P 1'
_symmetry_Int_Tables_number 1
_symmetry_space_group_name_Hall 'P 1'
loop_
_atom_site_label
_atom_site_fract_x
_atom_site_fract_y
_atom_site_fract_z
_atom_site_occupancy
Mn1 0.461 0.161 0.091 1
Mn2 0.039 0.161 0.591 1
Mn3 0.539 0.839 0.909 1
Mn4 0.961 0.839 0.409 1
Mn5 0.554 0.814 0.432 1
Mn6 0.054 0.186 0.068 1
Mn7 0.446 0.186 0.568 1
Mn8 0.946 0.814 0.932 1
Be1 0.839 0.805 0.767 1
Be2 0.660 0.162 0.403 1
Be3 0.160 0.838 0.097 1
Be4 0.340 0.838 0.597 1
Be5 0.840 0.162 0.903 1
Be6 0.162 0.475 0.418 1
Be7 0.662 0.525 0.082 1
Be8 0.838 0.525 0.582 1
Be9 0.338 0.475 0.918 1
Be10 0.661 0.805 0.267 1
Be11 0.161 0.195 0.233 1
Be12 0.339 0.195 0.733 1
Si1 0.224 0.810 0.767 1
Si2 0.724 0.190 0.733 1
Si3 0.776 0.190 0.233 1
Si4 0.276 0.810 0.267 1
Si5 0.734 0.466 0.920 1
Si6 0.234 0.534 0.580 1
Si7 0.266 0.534 0.080 1
Si8 0.766 0.466 0.420 1
Si9 0.234 0.161 0.902 1
Si10 0.734 0.839 0.598 1
Si11 0.766 0.839 0.098 1
Si12 0.266 0.161 0.402 1
O1 0.131 0.719 0.041 1
O2 0.032 0.775 0.823 1
O3 0.532 0.225 0.677 1
O4 0.968 0.225 0.177 1
O5 0.468 0.775 0.323 1
O6 0.533 0.366 0.961 1
O7 0.033 0.634 0.539 1
O8 0.467 0.634 0.039 1
O9 0.967 0.366 0.461 1
O10 0.035 0.072 0.894 1
O11 0.535 0.928 0.606 1
O12 0.965 0.928 0.106 1
O13 0.128 0.081 0.350 1
O14 0.628 0.919 0.150 1
O15 0.872 0.919 0.650 1
O16 0.372 0.081 0.850 1
O17 0.631 0.281 0.459 1
O18 0.465 0.072 0.394 1
O19 0.369 0.719 0.541 1
O20 0.869 0.281 0.959 1
O21 0.770 0.941 0.476 1
O22 0.626 0.285 0.145 1
O23 0.874 0.285 0.645 1
O24 0.374 0.715 0.855 1
O25 0.739 0.267 0.808 1
O26 0.239 0.733 0.692 1
O27 0.261 0.733 0.192 1
O28 0.761 0.267 0.308 1
O29 0.731 0.617 0.809 1
O30 0.231 0.383 0.691 1
O31 0.269 0.383 0.191 1
O32 0.769 0.617 0.309 1
O33 0.234 0.383 0.867 1
O34 0.734 0.617 0.633 1
O35 0.766 0.617 0.133 1
O36 0.266 0.383 0.367 1
O37 0.736 0.950 0.802 1
O38 0.236 0.050 0.698 1
O39 0.264 0.050 0.198 1
O40 0.764 0.950 0.302 1
O41 0.780 0.588 0.978 1
O42 0.280 0.412 0.522 1
O43 0.220 0.412 0.022 1
O44 0.720 0.588 0.478 1
O45 0.730 0.941 0.976 1
O46 0.230 0.059 0.524 1
O47 0.270 0.059 0.024 1
O48 0.126 0.715 0.355 1
```

=====

Density functional theory data (PBE with a Hubbard U) for a relaxed structure of Li6V3P8O29.

```
data_Li6V3P8O29
_cell_length_a 9.790
_cell_length_b 9.805
_cell_length_c 14.013
_cell_angle_alpha 89.31
_cell_angle_beta 89.14
_cell_angle_gamma 60.23
_symmetry_space_group_name_H-M 'P 1'
_symmetry_Int_Tables_number 1
_symmetry_space_group_name_Hall 'P 1'
loop_
_atom_site_label
_atom_site_fract_x
_atom_site_fract_y
_atom_site_fract_z
_atom_site_occupancy
Li1 0.097 0.665 0.562 1
Li2 0.320 0.334 0.889 1
Li3 0.231 0.676 0.063 1
Li4 0.676 0.091 0.063 1
Li5 0.339 0.762 0.439 1
Li6 0.669 0.235 0.561 1
Li7 0.333 0.902 0.938 1
Li8 0.763 0.339 0.943 1
Li9 0.906 0.336 0.436 1
Li10 0.768 0.901 0.442 1
Li11 0.002 0.003 0.001 1
Li12 0.038 0.018 0.506 1
V1 0.435 0.565 0.251 1
V2 0.566 0.436 0.748 1
V3 0.435 0.003 0.746 1
V4 0.563 0.998 0.252 1
V5 0.005 0.436 0.244 1
V6 0.995 0.563 0.754 1
P1 0.084 0.216 0.838 1
P2 0.218 0.082 0.337 1
P3 0.085 0.686 0.346 1
P4 0.337 0.335 0.129 1
P5 0.334 0.336 0.631 1
P6 0.223 0.681 0.843 1
P7 0.312 0.775 0.659 1
P8 0.683 0.093 0.844 1
P9 0.314 0.912 0.153 1
P10 0.684 0.226 0.342 1
P11 0.775 0.314 0.158 1
P12 0.671 0.662 0.368 1
P13 0.662 0.669 0.870 1
P14 0.917 0.311 0.652 1
P15 0.777 0.915 0.660 1
P16 0.916 0.782 0.161 1
O1 0.987 0.225 0.560 1
O2 0.083 0.252 0.339 1
O3 0.230 0.980 0.061 1
O4 0.253 0.076 0.842 1
O5 0.096 0.369 0.832 1
O6 0.191 0.331 0.174 1
O7 0.085 0.531 0.331 1
O8 0.005 0.801 0.080 1
O9 0.082 0.655 0.843 1
O10 0.333 0.189 0.679 1
O11 0.381 0.076 0.328 1
O12 0.188 0.485 0.675 1
O13 0.335 0.339 0.022 1
O14 0.335 0.337 0.525 1
O15 0.325 0.490 0.168 1
O16 0.521 0.105 0.833 1
O17 0.488 0.189 0.168 1
O18 0.254 0.661 0.342 1
O19 0.205 0.790 0.751 1
O20 0.225 0.776 0.570 1
O21 0.227 0.769 0.930 1
O22 0.373 0.519 0.830 1
O23 0.490 0.325 0.669 1
O24 0.340 0.742 0.164 1
O25 0.527 0.380 0.329 1
O26 0.659 0.082 0.344 1
O27 0.198 0.009 0.240 1
O28 0.209 0.986 0.419 1
O29 0.779 0.004 0.571 1
O30 0.344 0.911 0.661 1
O31 0.467 0.616 0.672 1
O32 0.658 0.263 0.838 1
O33 0.514 0.675 0.329 1
O34 0.618 0.468 0.171 1
O35 0.777 0.225 0.070 1
O36 0.771 0.228 0.430 1
O37 0.792 0.203 0.250 1
O38 0.747 0.336 0.661 1
O39 0.516 0.820 0.828 1
O40 0.468 0.912 0.168 1
O41 0.666 0.519 0.830 1
O42 0.657 0.671 0.976 1
O43 0.671 0.658 0.475 1
O44 0.816 0.512 0.325 1
O45 0.623 0.910 0.670 1
O46 0.679 0.810 0.330 1
O47 0.914 0.343 0.160 1
O48 0.014 0.196 0.739 1
O49 0.984 0.210 0.918 1
O50 0.919 0.465 0.665 1
O51 0.812 0.665 0.823 1
O52 0.916 0.625 0.167 1
O53 0.743 0.921 0.164 1
O54 0.769 0.018 0.935 1
O55 0.791 0.003 0.753 1
O56 0.921 0.749 0.661 1
O57 0.002 0.770 0.437 1
O58 0.991 0.803 0.259 1
```

=====

Density functional theory data (PBE with a Hubbard U) for a relaxed structure of Li3Mn4B4O12.

```
data_Li3Mn4B4O12
_cell_length_a 5.894
_cell_length_b 9.074
_cell_length_c 9.844
_cell_angle_alpha 81.82
_cell_angle_beta 80.15
_cell_angle_gamma 77.23
_symmetry_space_group_name_H-M 'P 1'
_symmetry_Int_Tables_number 1
_symmetry_space_group_name_Hall 'P 1'
loop_
_atom_site_label
_atom_site_fract_x
_atom_site_fract_y
_atom_site_fract_z
_atom_site_occupancy
Li1 0.575 0.218 0.585 1
Li2 0.644 0.281 0.170 1
Li3 0.356 0.719 0.830 1
Li4 0.425 0.782 0.415 1
Li5 0.102 0.216 0.087 1
Li6 0.898 0.784 0.913 1
Mn1 0.664 0.556 0.595 1
Mn2 0.858 0.449 0.889 1
Mn3 0.604 0.939 0.144 1
Mn4 0.336 0.444 0.405 1
Mn5 0.396 0.061 0.856 1
Mn6 0.142 0.551 0.111 1
Mn7 0.900 0.034 0.355 1
Mn8 0.100 0.966 0.645 1
B1 0.858 0.114 0.911 1
B2 0.599 0.615 0.152 1
B3 0.642 0.890 0.605 1
B4 0.358 0.110 0.395 1
B5 0.401 0.385 0.848 1
B6 0.113 0.625 0.649 1
B7 0.142 0.886 0.089 1
B8 0.887 0.375 0.351 1
O1 0.784 0.610 0.040 1
O2 0.695 0.392 0.459 1
O3 0.763 0.010 0.568 1
O4 0.811 0.233 0.990 1
O5 0.530 0.737 0.228 1
O6 0.685 0.775 0.522 1
O7 0.719 0.002 0.933 1
O8 0.484 0.492 0.188 1
O9 0.530 0.105 0.279 1
O10 0.305 0.608 0.541 1
O11 0.516 0.508 0.812 1
O12 0.315 0.225 0.478 1
O13 0.470 0.263 0.772 1
O14 0.237 0.990 0.432 1
O15 0.470 0.895 0.721 1
O16 0.216 0.390 0.960 1
O17 0.281 0.998 0.067 1
O18 0.027 0.484 0.324 1
O19 0.073 0.741 0.731 1
O20 0.189 0.767 0.010 1
O21 0.927 0.259 0.269 1
O22 0.973 0.516 0.676 1
O23 0.058 0.089 0.813 1
O24 0.942 0.911 0.187 1
```

=====

VASP energy for every record listed, in sequence, given in eV per cell: -256.6; -150.9; -58.0; -532.2; -141.5; -594.7; -645.4; -340.4.
Ρ for every record listed, in sequence, given in Mg/m³: 2.78; 2.81; 2.24; 3.03; 3.57; 3.28; 2.58; 3.14.